Entry 1:
VASP calculation (PBE) on a relaxed Cr5SiB2 crystal.

Lattice parameters (Å, degrees): 5.598 5.598 10.370 90.00 90.00 90.00
Fractional positions:
Cr  0.167  0.667  0.137
Cr  0.833  0.333  0.137
Cr  0.333  0.167  0.137
Cr  0.667  0.833  0.137
Cr  0.833  0.667  0.363
Cr  0.167  0.333  0.363
Cr  0.667  0.167  0.363
Cr  0.333  0.833  0.363
Cr  0.833  0.333  0.863
Cr  0.167  0.667  0.863
Cr  0.667  0.833  0.863
Cr  0.333  0.167  0.863
Cr  0.167  0.333  0.637
Cr  0.833  0.667  0.637
Cr  0.333  0.833  0.637
Cr  0.667  0.167  0.637
Cr  0.000  0.000  0.000
Cr  0.000  0.000  0.500
Cr  0.500  0.500  0.500
Cr  0.500  0.500  0.000
Si  0.000  0.000  0.250
Si  0.000  0.000  0.750
Si  0.500  0.500  0.750
Si  0.500  0.500  0.250
B  0.619  0.119  0.000
B  0.381  0.881  0.000
B  0.881  0.619  0.000
B  0.119  0.381  0.000
B  0.381  0.119  0.500
B  0.619  0.881  0.500
B  0.119  0.619  0.500
B  0.881  0.381  0.500

E_form, eV per formula unit: -3.1
Spin magnetization, μB per formula unit: 0.4

Entry 2:
VASP calculation (PBE) on a relaxed SmCrB4 crystal.

Lattice parameters (Å, degrees): 5.991 11.581 3.511 90.00 90.00 90.00
Fractional positions:
Sm  0.125  0.151  0.000
Sm  0.375  0.651  0.000
Sm  0.625  0.349  0.000
Sm  0.875  0.849  0.000
Cr  0.121  0.422  0.000
Cr  0.379  0.922  0.000
Cr  0.621  0.078  0.000
Cr  0.879  0.578  0.000
B  0.023  0.690  0.500
B  0.112  0.546  0.500
B  0.139  0.967  0.500
B  0.221  0.818  0.500
B  0.279  0.318  0.500
B  0.361  0.467  0.500
B  0.388  0.046  0.500
B  0.477  0.190  0.500
B  0.523  0.810  0.500
B  0.612  0.954  0.500
B  0.639  0.533  0.500
B  0.721  0.682  0.500
B  0.779  0.182  0.500
B  0.861  0.033  0.500
B  0.888  0.454  0.500
B  0.977  0.310  0.500

E_form, eV per formula unit: -3.5
Space group: Pbam (55)

Entry 3:
VASP calculation (PBE) on a relaxed SmCr2B6 crystal.

Lattice parameters (Å, degrees): 5.518 5.518 5.518 147.39 107.46 81.82
Fractional positions:
Sm  0.000  0.000  0.000
Cr  0.346  0.846  0.500
Cr  0.654  0.154  0.500
B  0.066  0.303  0.763
B  0.359  0.500  0.859
B  0.460  0.697  0.763
B  0.540  0.303  0.237
B  0.641  0.500  0.141
B  0.934  0.697  0.237

E_form, eV per formula unit: -5.0
Space group: Immm (71)

Entry 4:
VASP calculation (PBE) on a relaxed TbCrB4 crystal.

Lattice parameters (Å, degrees): 5.944 11.484 3.461 90.00 90.00 90.00
Fractional positions:
Tb  0.125  0.151  0.000
Tb  0.375  0.651  0.000
Tb  0.625  0.349  0.000
Tb  0.875  0.849  0.000
Cr  0.122  0.421  0.000
Cr  0.378  0.921  0.000
Cr  0.622  0.079  0.000
Cr  0.878  0.579  0.000
B  0.024  0.691  0.500
B  0.113  0.547  0.500
B  0.137  0.967  0.500
B  0.219  0.816  0.500
B  0.281  0.316  0.500
B  0.363  0.467  0.500
B  0.387  0.047  0.500
B  0.476  0.191  0.500
B  0.524  0.809  0.500
B  0.613  0.953  0.500
B  0.637  0.533  0.500
B  0.719  0.684  0.500
B  0.781  0.184  0.500
B  0.863  0.033  0.500
B  0.887  0.453  0.500
B  0.976  0.309  0.500

E_form, eV per formula unit: -3.9
Space group: Pbam (55)
Spin magnetization, μB per formula unit: 0.0

Entry 5:
VASP calculation (PBE) on a relaxed ThCr2B6 crystal.

Lattice parameters (Å, degrees): 5.539 5.539 5.539 147.29 107.27 82.05
Fractional positions:
Th  0.000  0.000  0.000
Cr  0.346  0.846  0.500
Cr  0.654  0.154  0.500
B  0.067  0.304  0.763
B  0.359  0.500  0.859
B  0.460  0.696  0.763
B  0.540  0.304  0.237
B  0.641  0.500  0.141
B  0.933  0.696  0.237

E_form, eV per formula unit: -5.3
Space group: Immm (71)

Entry 6:
VASP calculation (PBE) on a relaxed TmCrB4 crystal.

Lattice parameters (Å, degrees): 5.887 11.372 3.407 90.00 90.00 90.00
Fractional positions:
Tm  0.126  0.151  0.000
Tm  0.374  0.651  0.000
Tm  0.626  0.349  0.000
Tm  0.874  0.849  0.000
Cr  0.123  0.420  0.000
Cr  0.377  0.920  0.000
Cr  0.623  0.080  0.000
Cr  0.877  0.580  0.000
B  0.024  0.692  0.500
B  0.114  0.547  0.500
B  0.136  0.967  0.500
B  0.217  0.815  0.500
B  0.283  0.315  0.500
B  0.364  0.467  0.500
B  0.386  0.047  0.500
B  0.476  0.192  0.500
B  0.524  0.808  0.500
B  0.614  0.953  0.500
B  0.636  0.533  0.500
B  0.717  0.685  0.500
B  0.783  0.185  0.500
B  0.864  0.033  0.500
B  0.886  0.453  0.500
B  0.976  0.308  0.500

E_form, eV per formula unit: -4.2
Space group: Pbam (55)
Spin magnetization, μB per formula unit: 0.0

Entry 7:
VASP calculation (PBE) on a relaxed VCrB2 crystal.

Lattice parameters (Å, degrees): 2.936 4.244 4.244 41.29 90.00 90.00
Fractional positions:
V  0.000  0.000  0.000
Cr  0.500  0.706  0.706
B  0.000  0.289  0.289
B  0.500  0.415  0.415

E_form, eV per formula unit: -2.7
Space group: Amm2 (38)

Entry 8:
VASP calculation (PBE) on a relaxed V9Cr3B8 crystal.

Lattice parameters (Å, degrees): 5.667 3.014 11.339 90.00 90.01 90.00
Fractional positions:
V  0.000  0.000  0.000
V  0.179  0.500  0.660
V  0.180  0.500  0.162
V  0.321  0.500  0.411
V  0.323  0.500  0.910
V  0.677  0.500  0.090
V  0.679  0.500  0.589
V  0.820  0.500  0.838
V  0.821  0.500  0.340
Cr  0.000  0.000  0.500
Cr  0.500  0.000  0.251
Cr  0.500  0.000  0.749
B  0.112  0.000  0.307
B  0.113  0.000  0.805
B  0.387  0.000  0.556
B  0.389  0.000  0.057
B  0.611  0.000  0.943
B  0.613  0.000  0.444
B  0.887  0.000  0.195
B  0.888  0.000  0.693

E_form, eV per formula unit: -14.1
Space group: P2/m (10)

Entry 9:
VASP calculation (PBE) on a relaxed CrBW crystal.

Lattice parameters (Å, degrees): 5.400 4.476 4.431 74.64 53.06 52.30
Fractional positions:
Cr  0.171  0.829  0.171
Cr  0.829  0.171  0.829
B  0.250  0.250  0.250
B  0.750  0.750  0.750
W  0.334  0.334  0.666
W  0.666  0.666  0.334

E_form, eV per formula unit: -0.7
Space group: Fmmm (69)
Spin magnetization, μB per formula unit: 0.1

Entry 10:
VASP calculation (PBE) on a relaxed CsBF4 crystal.

Lattice parameters (Å, degrees): 9.800 5.950 7.789 90.00 90.00 90.00
Fractional positions:
Cs  0.191  0.250  0.161
Cs  0.309  0.750  0.661
Cs  0.691  0.250  0.339
Cs  0.809  0.750  0.839
B  0.052  0.250  0.698
B  0.448  0.750  0.198
B  0.552  0.250  0.802
B  0.948  0.750  0.302
F  0.072  0.055  0.802
F  0.072  0.445  0.802
F  0.082  0.750  0.368
F  0.150  0.250  0.564
F  0.350  0.750  0.064
F  0.418  0.250  0.868
F  0.428  0.555  0.302
F  0.428  0.945  0.302
F  0.572  0.055  0.698
F  0.572  0.445  0.698
F  0.582  0.750  0.132
F  0.650  0.250  0.936
F  0.850  0.750  0.436
F  0.918  0.250  0.632
F  0.928  0.555  0.198
F  0.928  0.945  0.198

E_form, eV per formula unit: -19.9
Space group: Pnma (62)

Entry 11:
VASP calculation (PBE) on a relaxed Cs2B12H4F9 crystal.

Lattice parameters (Å, degrees): 9.597 10.704 15.088 90.00 90.00 90.00
Fractional positions:
Cs  0.062  0.005  0.119
Cs  0.097  0.176  0.802
Cs  0.403  0.824  0.302
Cs  0.438  0.995  0.619
Cs  0.562  0.495  0.881
Cs  0.597  0.324  0.198
Cs  0.903  0.676  0.698
Cs  0.938  0.505  0.381
B  0.009  0.426  0.133
B  0.014  0.593  0.133
B  0.025  0.373  0.022
B  0.033  0.643  0.021
B  0.039  0.507  0.952
B  0.074  0.010  0.454
B  0.166  0.505  0.162
B  0.172  0.369  0.094
B  0.180  0.640  0.093
B  0.190  0.420  0.982
B  0.197  0.588  0.980
B  0.222  0.498  0.569
B  0.278  0.502  0.069
B  0.303  0.412  0.480
B  0.310  0.580  0.482
B  0.320  0.360  0.593
B  0.328  0.631  0.594
B  0.334  0.495  0.662
B  0.426  0.990  0.954
B  0.461  0.493  0.452
B  0.467  0.357  0.521
B  0.475  0.627  0.522
B  0.486  0.407  0.633
B  0.491  0.574  0.633
B  0.509  0.074  0.867
B  0.514  0.907  0.867
B  0.525  0.127  0.978
B  0.533  0.857  0.979
B  0.539  0.993  0.048
B  0.574  0.490  0.546
B  0.666  0.995  0.838
B  0.672  0.131  0.906
B  0.680  0.860  0.907
B  0.690  0.080  0.018
B  0.697  0.912  0.020
B  0.722  0.002  0.431
B  0.778  0.998  0.931
B  0.803  0.088  0.520
B  0.810  0.920  0.518
B  0.820  0.140  0.407
B  0.828  0.869  0.406
B  0.834  0.005  0.338
B  0.926  0.510  0.046
B  0.961  0.007  0.548
B  0.967  0.143  0.479
B  0.975  0.873  0.478
B  0.986  0.093  0.367
B  0.991  0.926  0.367
H  0.013  0.240  0.506
H  0.031  0.779  0.503
H  0.106  0.830  0.807
H  0.211  0.505  0.236
H  0.289  0.495  0.736
H  0.394  0.170  0.307
H  0.469  0.221  0.003
H  0.487  0.760  0.006
H  0.513  0.260  0.494
H  0.531  0.721  0.497
H  0.606  0.670  0.193
H  0.711  0.995  0.764
H  0.789  0.005  0.264
H  0.894  0.330  0.693
H  0.969  0.279  0.997
H  0.987  0.740  0.994
F  0.010  0.005  0.636
F  0.060  0.158  0.302
F  0.075  0.505  0.577
F  0.075  0.865  0.303
F  0.220  0.010  0.461
F  0.223  0.352  0.416
F  0.234  0.257  0.124
F  0.234  0.648  0.418
F  0.244  0.750  0.125
F  0.256  0.250  0.625
F  0.266  0.352  0.918
F  0.266  0.743  0.624
F  0.277  0.648  0.916
F  0.280  0.990  0.961
F  0.425  0.135  0.803
F  0.425  0.495  0.077
F  0.440  0.842  0.802
F  0.490  0.995  0.136
F  0.510  0.495  0.364
F  0.560  0.342  0.698
F  0.575  0.635  0.697
F  0.575  0.995  0.423
F  0.720  0.490  0.539
F  0.723  0.148  0.584
F  0.734  0.243  0.876
F  0.734  0.852  0.582
F  0.744  0.750  0.875
F  0.756  0.250  0.375
F  0.766  0.148  0.082
F  0.766  0.757  0.376
F  0.777  0.852  0.084
F  0.780  0.510  0.039
F  0.925  0.005  0.923
F  0.925  0.365  0.197
F  0.940  0.658  0.198
F  0.990  0.505  0.864

E_form, eV per formula unit: -41.6
Space group: P2_12_12_1 (19)
Spin magnetization, μB per formula unit: 1.0